## K3Mg18Sn11 (PBE-GGA)

Data for a relaxed K3Mg18Sn11 crystal.

```
K3Mg18Sn11
1.0
11.9132 0.0000 0.0000
-5.9566 10.3171 0.0000
0.0000 0.0000 13.9367
K Mg Sn
6 36 22
Direct
0.3333 0.6667 0.0827
0.3333 0.6667 0.4173
0.3333 0.6667 0.7500
0.6667 0.3333 0.2500
0.6667 0.3333 0.5827
0.6667 0.3333 0.9173
0.0570 0.6229 0.5837
0.0570 0.6229 0.9163
0.0592 0.6265 0.2500
0.1098 0.8544 0.7500
0.1219 0.8529 0.0836
0.1219 0.8529 0.4164
0.1456 0.2554 0.7500
0.1471 0.2690 0.0836
0.1471 0.2690 0.4164
0.2554 0.1098 0.2500
0.2690 0.1219 0.5836
0.2690 0.1219 0.9164
0.3735 0.4328 0.2500
0.3771 0.4341 0.5837
0.3771 0.4341 0.9163
0.4328 0.0592 0.7500
0.4341 0.0570 0.0837
0.4341 0.0570 0.4163
0.5659 0.9430 0.5837
0.5659 0.9430 0.9163
0.5672 0.9408 0.2500
0.6229 0.5659 0.0837
0.6229 0.5659 0.4163
0.6265 0.5672 0.7500
0.7310 0.8781 0.0836
0.7310 0.8781 0.4164
0.7446 0.8902 0.7500
0.8529 0.7310 0.5836
0.8529 0.7310 0.9164
0.8544 0.7446 0.2500
0.8781 0.1471 0.5836
0.8781 0.1471 0.9164
0.8902 0.1456 0.2500
0.9408 0.3735 0.7500
0.9430 0.3771 0.0837
0.9430 0.3771 0.4163
0.0000 0.0000 0.1402
0.0000 0.0000 0.3598
0.0000 0.0000 0.6402
0.0000 0.0000 0.8598
0.1133 0.4093 0.5840
0.1133 0.4093 0.9160
0.1141 0.4147 0.2500
0.2959 0.8867 0.5840
0.2959 0.8867 0.9160
0.3006 0.8859 0.2500
0.4093 0.2959 0.0840
0.4093 0.2959 0.4160
0.4147 0.3006 0.7500
0.5853 0.6994 0.2500
0.5907 0.7041 0.5840
0.5907 0.7041 0.9160
0.6994 0.1141 0.7500
0.7041 0.1133 0.0840
0.7041 0.1133 0.4160
0.8859 0.5853 0.7500
0.8867 0.5907 0.0840
0.8867 0.5907 0.4160
```

Calculated values
Spin magnetization = 0.00 μB per cell
Calculated volume = 26.765 A^3/atom
E_tot = -2.575 eV/atom
Space-group type = P6_3/m
Formation enthalpy at 0 K = -6.16 eV per formula unit

## Li2SmTl (PBE-GGA)

Data for a relaxed Li2SmTl crystal.

```
Li2SmTl
1.0
0.0000 3.4756 3.4756
3.4756 0.0000 3.4756
3.4756 3.4756 0.0000
Li Sm Tl
2 1 1
Direct
0.2500 0.2500 0.2500
0.7500 0.7500 0.7500
0.0000 0.0000 0.0000
0.5000 0.5000 0.5000
```

Calculated values
Calculated volume = 20.991 A^3/atom
E_tot = -2.977 eV/atom
Space-group type = Fm-3m
Formation enthalpy at 0 K = -1.01 eV per formula unit

## Sr2Y2Ti2O7 (PBE-GGA)

Data for a relaxed Sr2Y2Ti2O7 crystal.

```
Sr2Y2Ti2O7
1.0
-12.3703 2.7916 2.7653
12.3703 -2.7916 2.7653
12.3703 2.7916 -2.7653
Sr Y Ti O
4 4 4 14
Direct
0.0211 0.1451 0.1661
0.0211 0.3549 0.3760
0.9789 0.6451 0.6240
0.9789 0.8549 0.8339
0.0109 0.0109 0.0000
0.0109 0.5109 0.5000
0.4210 0.7170 0.2040
0.5130 0.2170 0.7960
0.5096 0.5682 0.0570
0.5096 0.9526 0.4414
0.5112 0.0682 0.5586
0.5112 0.4526 0.9430
0.0110 0.1925 0.6923
0.0108 0.3292 0.8104
0.0108 0.7004 0.1816
0.0110 0.8188 0.3185
0.1395 0.8168 0.8228
0.5002 0.3188 0.3077
0.5002 0.6925 0.6815
0.5019 0.2103 0.6254
0.5019 0.3766 0.7916
0.5188 0.2004 0.1896
0.5188 0.8292 0.8184
0.5850 0.7103 0.2084
0.5850 0.8766 0.3746
0.9940 0.3168 0.1772
```

Calculated values
Spin magnetization = 0.00 μB per cell
Calculated volume = 14.691 A^3/atom
E_tot = -8.025 eV/atom
Space-group type = Ima2
Total energy after the MP2020 corrections = -109.13 eV/f.u.
Formation enthalpy at 0 K = -42.39 eV per formula unit